No. 1
GGA+U Ca6Mg2CoAs6O30, optimized geometry; space-group type = No. 2
1.0
6.3157 0.0000 0.0000
0.2941 8.7689 0.0000
0.1338 0.0878 11.4228
O Ca Mg As Co
30 6 2 6 1
Cartesian
5.9668 7.2300 0.2490
1.4435 0.3815 4.4288
1.0543 5.2734 2.9852
1.2914 5.9235 5.7488
0.7768 1.6268 11.1738
3.3639 2.8657 2.0204
5.4523 2.9332 5.6740
4.7117 0.7392 0.8339
5.4380 4.7829 3.9855
3.5576 6.2812 0.6772
2.6601 3.6960 4.6427
3.3376 7.7424 7.8297
6.1556 2.1505 2.9673
3.4212 6.3741 3.9959
4.0835 5.1608 6.7802
1.3206 5.2900 11.1387
5.4142 0.1846 9.7081
5.6893 3.5833 8.4377
2.0319 8.1176 10.5889
5.3002 8.4752 6.9941
3.3224 2.4827 7.4269
3.3797 5.9910 9.4024
5.5772 8.2400 3.6331
3.4060 1.1143 3.5932
5.4230 3.5667 0.2842
1.3056 4.0739 7.4374
1.3294 8.6722 1.7147
3.1860 2.5755 10.7456
1.1664 0.6168 7.7897
0.5880 6.7062 8.4556
1.1341 3.5045 1.3673
1.4238 2.1785 6.0002
5.6095 5.3523 10.0556
5.3198 6.6782 5.4227
3.6881 7.9187 2.2551
3.0556 0.9380 9.1677
4.4259 2.9591 3.8313
2.3178 5.8976 7.5915
4.2029 2.4119 0.5689
2.5407 6.4449 10.8539
4.6228 3.5520 7.0701
0.2607 0.4953 3.1713
6.4829 8.3615 8.2515
2.1209 5.3047 4.3528
0.0000 0.0000 0.0000

No. 2
GGA+U CaCoAsO5, optimized geometry; space-group type = No. 19
1.0
5.8232 0.0000 0.0000
0.0000 7.6299 0.0000
0.0000 0.0000 8.9554
O Co As Ca
20 4 4 4
Cartesian
4.4112 6.5984 1.9726
0.4890 5.5070 3.8540
1.4996 4.8464 6.9828
2.4226 2.1229 8.3317
2.8599 3.2842 5.0817
5.7715 0.5307 3.8738
1.4400 0.7378 6.2337
5.8082 6.5938 8.3302
0.0517 4.3457 0.6039
4.3516 3.0772 2.7217
1.4120 2.7835 2.5051
5.3342 1.6921 0.6237
0.0150 2.7789 5.1030
1.4716 6.8921 1.7560
2.9633 7.0991 8.3515
2.8966 4.8510 0.6253
4.3832 4.5527 7.1994
4.3236 1.0315 6.4503
2.9266 1.0360 3.8524
3.4006 5.9378 5.1015
1.4773 5.7465 8.9424
4.3889 5.6983 0.0130
4.3459 1.9316 4.4907
1.4343 1.8834 4.4647
2.8165 0.8447 7.2765
3.0067 4.6596 6.1566
0.0951 6.7852 2.7988
5.7281 2.9702 1.6789
2.7667 4.9223 2.9745
3.0565 1.1073 1.5032
5.6783 6.5226 5.9809
0.1449 2.7076 7.4522

No. 3
GGA+U CaCoAs2O7, optimized geometry; space-group type = No. 14
1.0
-0.6058 8.9240 -1.7456
-5.9058 -1.2594 -4.3887
-8.0262 0.4336 5.0019
O Co Ca As
28 4 4 8
Cartesian
-13.6603 7.0249 -1.3878
-5.7161 7.2861 0.6353
-11.0161 7.3600 0.4291
-1.6288 5.9763 -1.6519
-5.0526 3.6753 2.2897
-0.8775 1.0733 0.2554
-7.6707 2.9570 0.5478
-6.8671 5.1412 -1.6802
-4.9412 1.1750 0.7892
-10.2953 1.9367 0.7719
-10.0041 4.6846 -0.2972
-8.8218 0.8121 -1.7677
-8.3439 0.6423 2.2502
-4.2425 6.1615 -1.9043
-9.4853 4.4229 -3.4222
-6.9003 5.5833 2.9505
-12.9091 2.1218 0.5195
-3.5217 0.7382 -1.5615
-11.4546 -0.1553 -1.0173
-6.2617 1.4170 -1.6698
-5.4572 4.8450 -4.0585
-9.5966 6.9232 -1.9217
-6.1939 7.4559 -3.3826
-3.0832 8.2535 -0.1151
-9.0806 3.2532 2.9261
-4.5337 3.4136 -0.8352
-8.2761 6.6812 0.5374
-7.6375 2.5148 -4.0829
-3.0544 4.7717 -0.8457
-7.2314 -0.4103 -2.0991
-7.3064 8.5085 0.9667
-11.4835 3.3264 -0.2867
-8.1477 3.1214 -1.8363
-2.5992 8.0338 -2.4374
-6.3901 4.9768 0.7039
-11.9386 0.0644 1.3050
-13.9013 5.4480 -0.7806
-5.7535 5.9689 -2.6651
-9.7795 6.3759 -0.2013
-4.7583 1.7223 -0.9311
-9.9449 6.0665 -3.4449
-0.6365 2.6502 -0.3518
-8.7843 2.1293 1.5327
-4.5929 2.0317 2.3125

No. 4
GGA+U Ca2CoAs2O10, optimized geometry; space-group type = No. 2
1.0
4.6436 0.7963 1.9916
-2.5244 -5.5086 2.1272
2.0964 -1.4657 -6.6950
Ca As O Co
2 2 10 1
Cartesian
0.3664 -4.1505 0.4835
3.8492 -2.0275 -3.0597
1.4027 -4.6400 -3.0086
2.8128 -1.5380 0.4324
1.7663 -2.9981 -2.9049
0.3016 -4.8944 -4.3252
1.3824 -0.7022 1.0915
3.3989 -0.8755 -1.0282
3.9140 -1.2836 1.7490
5.7689 -0.5819 -3.3222
0.8166 -5.3025 -1.5480
-1.5534 -5.5961 0.7461
2.4493 -3.1798 0.3287
2.8331 -5.4758 -3.6677
0.0000 0.0000 0.0000

No. 5
GGA+U CaCrAs2O7, optimized geometry; space-group type = No. 14
1.0
9.1919 0.0000 0.0000
0.0000 7.5059 0.0000
0.0000 3.3664 8.9688
O As Cr Ca
28 8 4 4
Cartesian
8.1271 10.4414 8.1770
3.5311 2.1141 5.2762
5.3998 7.3171 6.4640
0.8364 9.8036 6.1796
1.2905 3.2709 3.7527
5.8545 5.5569 3.4873
3.3055 4.9541 8.2371
8.3556 1.0688 2.7892
3.3375 5.3154 5.4815
7.0834 5.1475 6.2504
7.4332 2.9035 4.8297
0.8039 5.2384 6.9891
2.4874 7.4081 7.2028
2.8373 9.6521 8.6235
7.9015 7.6014 5.2161
5.8865 5.9182 0.7317
6.3547 1.2203 0.3453
3.7596 8.1204 1.6952
5.4324 2.7520 7.2736
8.3881 5.6339 1.9797
1.2585 3.6322 0.9971
2.1085 5.7249 2.7184
5.6608 8.7582 3.6926
3.7921 3.5552 2.5047
7.9334 7.2401 7.9717
6.7045 3.4643 1.7660
1.0648 0.4309 0.7918
1.7587 7.9689 4.1391
7.0252 6.8207 6.5933
6.4899 10.5547 8.5858
6.7627 5.1375 2.1089
7.2980 8.8715 4.1014
1.8939 2.0009 4.8674
2.1668 4.0516 2.3755
2.4292 5.7348 6.8599
2.7020 0.3177 0.3830
4.1387 8.6559 7.3864
5.0532 2.2164 1.5824
0.4572 6.9727 2.9020
8.7347 3.8996 6.0668
5.1970 3.7944 5.0836
0.6010 8.7612 8.3696
3.9950 7.0780 3.8852
8.5910 2.1112 0.5992

No. 6
GGA+U Ca3Cr3As4O16, optimized geometry; space-group type = No. 14
1.0
-4.5834 1.0948 2.2664
-4.2801 -0.8053 -8.2665
-5.8749 -15.7657 -4.2652
O Cr As Ca
32 6 8 6
Cartesian
-6.5243 -2.8641 -0.4385
-4.8350 -10.2763 -3.7613
-8.2141 -12.6121 -9.8267
-11.3488 -13.4391 -9.3742
-6.5706 -9.7045 -6.2244
-10.6185 -13.7708 -6.4140
-9.9034 -5.1999 -6.5039
-5.4814 -4.8262 -4.0541
-7.0423 -4.3075 -6.8210
-7.5511 0.3021 -4.0650
-3.3895 -2.0371 -0.8910
-7.5987 -2.4616 -3.4459
-9.2570 -10.6500 -6.2110
-5.9674 -13.3720 -3.6088
-7.1397 -13.0146 -6.8193
-8.7385 -7.9988 -7.0630
-6.3272 -6.7332 -5.8639
-5.9999 -7.4774 -3.2022
-8.4111 -8.7430 -4.4013
-4.1199 -1.7054 -3.8512
-8.7608 -14.7364 -8.2456
-3.8022 -5.3046 -1.0943
-5.9775 -0.7398 -2.0196
-6.6269 -5.5476 -0.6548
-8.1115 -9.9286 -9.6104
-10.9361 -10.1716 -9.1709
-8.7902 -13.6153 -3.1701
-7.6960 -11.1687 -3.4442
-5.9481 -1.8609 -7.0950
-8.1677 -5.7717 -4.0407
-7.1873 -15.7782 -6.2002
-8.7710 -2.1042 -6.6564
-8.0234 -6.0660 -6.9907
-4.4317 0.1447 -3.0000
-6.7149 -9.4102 -3.2745
-13.0454 -13.4509 -8.0925
-1.6929 -2.0253 -2.1727
-5.0775 -8.2855 -6.2658
-12.5241 -10.0655 -8.4830
-7.3811 -12.7610 -2.8124
-7.2034 -14.5802 -7.4326
-7.3573 -2.7152 -7.4528
-7.5350 -0.8960 -2.8325
-2.2143 -5.4107 -1.7822
-6.4879 -6.1666 -4.2013
-8.2504 -9.3096 -6.0639
-5.1197 -3.3483 -2.3041
0.0000 0.0000 0.0000
-5.2292 -7.3354 -0.9994
-9.6186 -12.1279 -7.9611
-4.6934 -4.7199 -6.8115
-10.0450 -10.7563 -3.4537

No. 7
GGA+U CaCrAsO5, optimized geometry; space-group type = No. 19
1.0
5.9922 0.0000 0.0000
0.0000 7.5610 0.0000
0.0000 0.0000 8.9182
As O Ca Cr
4 20 4 4
Cartesian
5.8774 2.9695 1.7052
3.1109 4.5915 6.1643
0.1148 6.7500 2.7539
2.8813 0.8110 7.2131
3.0100 0.9361 3.7139
4.3853 1.0109 6.3828
0.5093 5.5041 3.8371
2.9822 4.7166 0.7452
3.5054 5.8374 5.0812
4.5057 3.0628 2.7556
1.5096 0.7178 6.1627
0.0139 2.8444 5.2044
4.4826 4.4983 7.2147
4.6030 6.5501 1.9237
5.4829 1.7236 0.6221
2.4868 2.0569 8.2962
1.4865 6.8433 1.7036
5.9783 6.6249 8.1730
2.9475 3.1796 5.1118
3.0448 6.9601 8.2655
1.3892 2.7696 2.5355
5.9436 0.6009 3.8064
0.0487 4.3814 0.6527
1.6069 4.7914 6.9946
3.1593 1.1252 1.5158
5.8290 6.4358 5.9749
2.8329 4.9057 2.9433
0.1632 2.6553 7.4024
1.4678 1.8453 4.4195
4.5244 5.6258 0.0397
4.4639 1.9352 4.4988
1.5283 5.7158 8.8786

No. 8
GGA+U Ca2FeAs2F, optimized geometry; space-group type = No. 123
1.0
-1.9292 2.5969 0.2194
-2.4972 -1.7639 -1.0800
-3.4384 -3.7424 14.0623
Ca Fe As F
2 1 2 1
Cartesian
-4.4226 -1.9883 8.6058
-3.4422 -0.9211 4.5959
-2.2132 0.4165 -0.4303
-5.0848 -2.7090 11.3141
-2.7800 -0.2004 1.8877
-3.9324 -1.4547 6.6009

No. 9
GGA+U CaFe2As2O10, optimized geometry; polymorph energy (0 for the lowest one) = 0.000 eV/atom; space-group type = No. 66
1.0
0.0000 -7.6342 0.0000
-8.2334 3.8171 0.0000
0.0000 0.0000 -11.9991
O As Fe Ca
40 8 8 4
Cartesian
-5.7779 2.4693 -3.1004
-6.9904 0.0000 -2.9998
-7.9567 2.0790 -7.3848
-0.2767 -1.7382 -10.6138
-4.5503 -0.1411 -4.3682
-7.9567 -2.0790 -1.3853
-5.7779 -2.4693 -9.0999
-2.4555 -1.3479 -2.8992
-6.8459 0.2290 0.0000
-1.2429 -3.8171 -8.9993
-3.6831 -3.9582 -1.6313
-1.3875 -4.0461 0.0000
-1.2429 -3.8171 -2.9998
-0.2767 -5.8961 -4.6143
-2.7396 -5.7091 -5.9995
-5.4938 -1.8919 0.0000
-5.7779 -2.4693 -2.8992
-6.2125 -4.7036 0.0000
-4.5503 0.1411 -10.3677
-2.4555 -6.2864 -3.1004
-0.2767 -1.7382 -1.3853
-5.7779 2.4693 -8.8987
-5.4938 1.8919 -5.9995
-2.7396 -1.9252 0.0000
-0.2767 -5.8961 -7.3848
-7.9567 2.0790 -4.6143
-6.9904 0.0000 -8.9993
-7.9567 -2.0790 -10.6138
-2.0208 -0.8865 -5.9995
-1.3875 -3.5881 -5.9995
-6.8459 -0.2290 -5.9995
-4.5503 0.1411 -1.6313
-3.6831 -3.9582 -10.3677
-3.6831 -3.6760 -4.3682
-2.4555 -1.3479 -9.0999
-3.6831 -3.6760 -7.6309
-6.2125 -2.9306 -5.9995
-2.0208 0.8865 0.0000
-2.4555 -6.2864 -8.8987
-4.5503 -0.1411 -7.6309
-3.5094 0.0000 -2.9998
-4.7239 -3.8171 -2.9998
-3.5094 0.0000 -8.9993
-4.7239 -3.8171 -8.9993
-7.4990 1.8625 0.0000
-0.7344 -5.6796 0.0000
-7.4990 -1.8625 -5.9995
-0.7344 -1.9546 -5.9995
-6.2337 -1.0203 -1.5711
-6.2337 -1.0203 -10.4280
-1.9996 -2.7968 -10.4280
-1.9996 -2.7968 -1.5711
-1.9996 -4.8375 -7.5706
-6.2337 1.0203 -7.5706
-1.9996 -4.8375 -4.4285
-6.2337 1.0203 -4.4285
0.0000 0.0000 -2.9998
0.0000 0.0000 -8.9993
-4.1167 1.9086 0.0000
-4.1167 -1.9086 -5.9995

No. 10
GGA+U CaFeAsO5, optimized geometry; space-group type = No. 19
1.0
5.9894 0.0000 0.0000
0.0000 7.7092 0.0000
0.0000 0.0000 9.0439
Fe Ca As O
4 4 4 20
Cartesian
4.5163 5.7199 0.0436
1.5216 5.8440 9.0003
4.4678 1.9893 4.5656
1.4731 1.8653 4.4783
5.8398 6.5725 6.0626
2.8452 4.9913 2.9814
3.1442 1.1367 1.5406
0.1495 2.7179 7.5033
3.1072 4.7120 6.1980
2.8822 0.8574 7.3679
0.1125 6.8519 2.8459
5.8769 2.9972 1.6761
1.3867 2.7926 2.5175
1.6080 4.9166 7.0395
2.9656 4.8664 0.7213
4.4678 4.5906 7.2636
1.4731 6.9733 1.7803
5.9387 0.5500 3.8939
4.5163 3.1187 2.7416
3.5128 5.9664 5.1211
0.5181 5.5974 3.9229
1.5216 0.7360 6.3023
0.0291 2.8428 5.2433
3.0238 1.0118 3.8006
2.9440 3.3046 5.1500
3.0454 7.1592 8.4159
4.3814 1.0620 6.5264
0.0507 4.4046 0.6280
5.4713 1.7428 0.5991
5.9603 6.6974 8.3226
2.4766 2.1118 8.4448
4.6027 6.6472 2.0044

V across the listed records, respectively: 633; 398; 603; 206; 619; 757; 404; 157; 754; 418 Å³ per cell.
DFT formation energy across the listed records, respectively: -2016; -2081; -2049; -1884; -2182; -2303; -2394; -387; -1774; -2206 meV per atom.